Entry 1:
Density functional theory data (GGA-PBE) for a geometry-optimized KLaMg14 structure.

## Properties
Theoretical density, g/cm3: 2.06
ΔE_f, meV per atom: 89

Structure (POSCAR):
```
KLaMg14
1.0
6.780 0.000 0.000
-3.390 5.872 0.000
0.000 0.000 10.490
K La Mg
1 1 14
Direct
0.167 0.333 0.125 K
0.167 0.333 0.625 La
0.170 0.835 0.125 Mg
0.173 0.837 0.625 Mg
0.665 0.330 0.125 Mg
0.663 0.327 0.625 Mg
0.665 0.835 0.125 Mg
0.663 0.837 0.625 Mg
0.340 0.160 0.377 Mg
0.340 0.160 0.873 Mg
0.340 0.680 0.377 Mg
0.340 0.680 0.873 Mg
0.820 0.160 0.377 Mg
0.820 0.160 0.873 Mg
0.833 0.667 0.377 Mg
0.833 0.667 0.873 Mg
```

Entry 2:
Density functional theory data (GGA-PBE) for a geometry-optimized KLaMg14 structure.

## Properties
Theoretical density, g/cm3: 2.07
ΔE_f, meV per atom: 109

Structure (POSCAR):
```
KLaMg14
1.0
3.474 -5.693 0.000
3.474 5.693 0.000
0.000 0.000 10.534
K La Mg
1 1 14
Direct
0.836 0.164 0.500 K
0.345 0.655 0.500 La
0.833 0.167 0.000 Mg
0.333 0.667 0.000 Mg
0.326 0.153 0.500 Mg
0.335 0.162 0.000 Mg
0.847 0.674 0.500 Mg
0.838 0.665 0.000 Mg
0.169 0.336 0.229 Mg
0.169 0.336 0.771 Mg
0.664 0.831 0.229 Mg
0.664 0.831 0.771 Mg
0.659 0.341 0.241 Mg
0.659 0.341 0.759 Mg
0.162 0.838 0.245 Mg
0.162 0.838 0.755 Mg
```

Entry 3:
Density functional theory data (GGA-PBE) for a geometry-optimized K2Na2La2MgNb2O10 structure.

## Properties
Theoretical density, g/cm3: 4.17
ΔE_f, meV per atom: -2702

Structure (POSCAR):
```
K2Na2La2MgNb2O10
1.0
5.716 0.000 0.000
0.000 5.716 0.000
0.000 0.000 9.404
K Na La Mg Nb O
2 2 2 1 2 10
Direct
0.250 0.750 0.050 K
0.750 0.250 0.050 K
0.750 0.750 0.227 Na
0.250 0.250 0.842 Na
0.750 0.250 0.472 La
0.250 0.750 0.472 La
0.250 0.250 0.595 Mg
0.750 0.750 0.722 Nb
0.250 0.250 0.272 Nb
0.750 0.750 0.922 O
0.250 0.250 0.063 O
0.512 0.988 0.655 O
0.988 0.512 0.655 O
0.492 0.008 0.312 O
0.988 0.988 0.655 O
0.512 0.512 0.655 O
0.492 0.492 0.312 O
0.008 0.492 0.312 O
0.008 0.008 0.312 O
```